No. 1
Pr5Al2Ru3: optimized geometry, r²SCAN.

```
Pr5Al2Ru3
1.0
4.854 -6.615 -2.509
5.038 6.293 2.938
-5.315 -2.554 6.233
Pr Al Ru
10 4 6
Direct
0.250 0.684 0.434
0.750 0.816 0.066
0.434 0.250 0.684
0.684 0.434 0.250
0.066 0.750 0.816
0.816 0.066 0.750
0.213 0.213 0.213
0.500 0.000 0.287
0.287 0.500 0.000
0.000 0.287 0.500
0.589 0.589 0.589
0.500 0.000 0.911
0.911 0.500 0.000
0.000 0.911 0.500
0.250 0.116 0.866
0.750 0.384 0.634
0.866 0.250 0.116
0.116 0.866 0.250
0.634 0.750 0.384
0.384 0.634 0.750
```

## Properties
crystal system	cubic
SG	I2_13 (199)


No. 2
Pr3Al4Si6: optimized geometry, r²SCAN.

```
Pr3Al4Si6
1.0
4.180 0.000 0.000
-2.090 3.620 0.000
0.000 0.000 18.213
Pr Al Si
3 4 6
Direct
0.000 0.000 0.388
0.000 0.000 0.000
0.000 0.000 0.612
0.333 0.667 0.243
0.667 0.333 0.141
0.333 0.667 0.859
0.667 0.333 0.757
0.333 0.667 0.104
0.667 0.333 0.503
0.333 0.667 0.497
0.333 0.667 0.720
0.667 0.333 0.896
0.667 0.333 0.280
```

## Properties
crystal system	trigonal
SG	P-3m1 (164)


No. 3
PrAlSi2: optimized geometry, r²SCAN.

```
PrAlSi2
1.0
4.156 0.000 0.000
-2.078 3.599 0.000
0.000 0.000 11.300
Pr Al Si
2 2 4
Direct
0.000 0.000 0.182
0.000 0.000 0.818
0.667 0.333 0.418
0.333 0.667 0.582
0.667 0.333 0.643
0.333 0.667 0.995
0.667 0.333 0.005
0.333 0.667 0.357
```

## Properties
crystal system	trigonal
SG	P-3m1 (164)


No. 4
PrAl20V2: optimized geometry, r²SCAN.

```
PrAl20V2
1.0
0.000 7.225 7.225
7.225 0.000 7.225
7.225 7.225 0.000
Pr Al V
2 40 4
Direct
0.500 0.500 0.500
0.750 0.750 0.750
0.862 0.862 0.138
0.138 0.138 0.862
0.862 0.138 0.862
0.138 0.862 0.138
0.138 0.862 0.862
0.862 0.138 0.138
0.388 0.388 0.112
0.112 0.112 0.388
0.388 0.112 0.388
0.112 0.388 0.112
0.112 0.388 0.388
0.388 0.112 0.112
0.569 0.298 0.298
0.298 0.569 0.835
0.298 0.835 0.569
0.835 0.298 0.298
0.298 0.298 0.569
0.569 0.835 0.298
0.835 0.569 0.298
0.298 0.298 0.835
0.298 0.569 0.298
0.835 0.298 0.569
0.569 0.298 0.835
0.298 0.835 0.298
0.681 0.952 0.952
0.952 0.681 0.415
0.952 0.415 0.681
0.415 0.952 0.952
0.952 0.952 0.681
0.681 0.415 0.952
0.415 0.681 0.952
0.952 0.952 0.415
0.952 0.681 0.952
0.415 0.952 0.681
0.681 0.952 0.415
0.952 0.415 0.952
0.125 0.625 0.625
0.625 0.125 0.625
0.625 0.625 0.125
0.625 0.625 0.625
0.625 0.125 0.125
0.125 0.625 0.125
0.125 0.125 0.625
0.125 0.125 0.125
```

## Properties
crystal system	cubic
SG	Fd-3m (227)


No. 5
PrYAl4: optimized geometry, r²SCAN.

```
PrYAl4
1.0
5.182 -1.334 1.742
0.775 -2.128 5.152
1.455 -5.400 0.624
Pr Y Al
1 1 4
Direct
0.250 0.250 0.250
0.000 0.000 0.000
0.625 0.625 0.125
0.625 0.125 0.625
0.125 0.625 0.625
0.625 0.625 0.625
```

## Properties
crystal system	cubic
SG	F-43m (216)


No. 6
PrAlZn: optimized geometry, r²SCAN.

```
PrAlZn
1.0
2.297 5.324 0.011
-2.297 5.324 0.011
0.000 5.219 5.491
Pr Al Zn
2 2 2
Direct
0.538 0.538 0.209
0.462 0.462 0.791
0.163 0.163 0.392
0.837 0.837 0.608
0.835 0.835 0.221
0.165 0.165 0.779
```

## Properties
crystal system	monoclinic
SG	C2/m (12)


No. 7
Al21Pt8: optimized geometry, r²SCAN.

```
Al21Pt8
1.0
-5.193 -5.813 -7.183
8.622 5.427 -2.926
3.527 -7.027 7.108
Al Pt
42 16
Direct
0.125 0.375 0.750
0.875 0.625 0.250
0.616 0.722 0.787
0.222 0.936 0.107
0.329 0.116 0.393
0.436 0.829 0.713
0.384 0.278 0.213
0.778 0.064 0.893
0.671 0.884 0.607
0.564 0.171 0.287
0.661 0.074 0.090
0.574 0.984 0.413
0.071 0.161 0.087
0.484 0.571 0.410
0.339 0.926 0.910
0.426 0.016 0.587
0.929 0.839 0.913
0.516 0.429 0.590
0.940 0.180 0.321
0.680 0.859 0.240
0.119 0.440 0.260
0.359 0.619 0.179
0.060 0.820 0.679
0.320 0.141 0.760
0.881 0.560 0.740
0.641 0.381 0.821
0.155 0.178 0.541
0.678 0.636 0.023
0.114 0.655 0.477
0.136 0.614 0.959
0.845 0.822 0.459
0.322 0.364 0.977
0.886 0.345 0.523
0.864 0.386 0.041
0.286 0.512 0.590
0.012 0.923 0.226
0.196 0.786 0.274
0.423 0.696 0.910
0.714 0.488 0.410
0.988 0.077 0.774
0.804 0.214 0.726
0.577 0.304 0.090
0.851 0.377 0.288
0.877 0.089 0.526
0.063 0.351 0.974
0.589 0.563 0.212
0.149 0.623 0.712
0.123 0.911 0.474
0.937 0.649 0.026
0.411 0.437 0.788
0.203 0.069 0.937
0.569 0.132 0.866
0.766 0.703 0.634
0.632 0.266 0.563
0.797 0.931 0.063
0.431 0.868 0.134
0.234 0.297 0.366
0.368 0.734 0.437
```

## Properties
crystal system	tetragonal
SG	I4_1/a (88)


No. 8
AlPt: optimized geometry, r²SCAN.

```
AlPt
1.0
4.879 0.000 0.000
0.000 4.879 0.000
0.000 0.000 4.879
Al Pt
4 4
Direct
0.844 0.844 0.844
0.656 0.156 0.344
0.344 0.656 0.156
0.156 0.344 0.656
0.155 0.155 0.155
0.345 0.845 0.655
0.655 0.345 0.845
0.845 0.655 0.345
```

## Properties
crystal system	cubic
SG	P2_13 (198)


No. 9
Tb2Al6Si4Pt: optimized geometry, r²SCAN.

```
Tb2Al6Si4Pt
1.0
-14.463 -8.465 -3.624
-11.955 -10.684 -6.073
-12.368 -11.691 -2.070
Tb Al Si Pt
2 6 4 1
Direct
0.567 0.567 0.567
0.433 0.433 0.433
0.951 0.951 0.951
0.049 0.049 0.049
0.185 0.185 0.185
0.815 0.815 0.815
0.319 0.319 0.319
0.681 0.681 0.681
0.734 0.734 0.734
0.135 0.135 0.135
0.266 0.266 0.266
0.865 0.865 0.865
0.000 0.000 0.000
```

## Properties
crystal system	trigonal
SG	R-3m (166)


No. 10
SmAlPt: optimized geometry, r²SCAN.

```
SmAlPt
1.0
1.000 1.775 -3.951
5.126 -4.806 -0.863
-5.062 -4.783 -3.430
Sm Al Pt
4 4 4
Direct
0.750 0.472 0.818
0.750 0.972 0.682
0.250 0.528 0.182
0.250 0.028 0.318
0.750 0.356 0.433
0.750 0.856 0.067
0.250 0.644 0.567
0.250 0.144 0.933
0.750 0.220 0.112
0.750 0.720 0.388
0.250 0.780 0.888
0.250 0.280 0.612
```

## Properties
crystal system	orthorhombic
SG	Pnma (62)


No. 11
TbAlPt: optimized geometry, r²SCAN.

```
TbAlPt
1.0
0.000 -4.409 0.000
-6.937 0.000 0.000
0.000 0.000 -7.714
Tb Al Pt
4 4 4
Direct
0.750 0.472 0.818
0.750 0.972 0.682
0.250 0.528 0.182
0.250 0.028 0.318
0.750 0.355 0.435
0.750 0.855 0.065
0.250 0.645 0.565
0.250 0.145 0.935
0.750 0.225 0.115
0.750 0.725 0.385
0.250 0.775 0.885
0.250 0.275 0.615
```

## Properties
crystal system	orthorhombic
SG	Pnma (62)


No. 12
Tb4Al24Pt9: optimized geometry, r²SCAN.

```
Tb4Al24Pt9
1.0
-7.352 0.009 -1.424
-3.684 6.497 -0.712
0.009 -0.001 -13.107
Tb Al Pt
4 24 9
Direct
0.394 0.168 0.808
0.606 0.832 0.192
0.734 0.499 0.808
0.266 0.501 0.192
0.685 0.834 0.945
0.315 0.166 0.055
0.147 0.833 0.561
0.853 0.167 0.439
0.480 0.167 0.559
0.520 0.833 0.441
0.217 0.165 0.330
0.783 0.835 0.670
0.437 0.507 0.670
0.563 0.493 0.330
0.110 0.160 0.668
0.890 0.840 0.332
0.352 0.500 0.945
0.648 0.500 0.055
0.015 0.167 0.955
0.985 0.833 0.045
0.187 0.499 0.441
0.813 0.501 0.559
0.735 0.164 0.183
0.265 0.836 0.817
0.061 0.632 0.815
0.939 0.368 0.185
0.856 0.041 0.816
0.144 0.959 0.184
0.120 0.492 0.638
0.880 0.508 0.362
0.657 0.172 0.000
0.343 0.828 0.000
0.538 0.167 0.362
0.462 0.833 0.638
0.780 0.174 0.637
0.220 0.826 0.363
0.000 0.500 0.000
```

## Properties
crystal system	triclinic
SG	P-1 (2)


Number 1: V 24.310 Å³ per atom, formation energy from the elements -0.394 eV per atom. Number 2: V 21.196 Å³ per atom, formation energy from the elements -0.486 eV per atom. Number 3: V 21.127 Å³ per atom, formation energy from the elements -0.520 eV per atom. Number 4: V 16.398 Å³ per atom, formation energy from the elements -0.219 eV per atom. Number 5: V 21.001 Å³ per atom, formation energy from the elements -0.547 eV per atom. Number 6: V 22.336 Å³ per atom, formation energy from the elements -0.467 eV per atom. Number 7: V 15.439 Å³ per atom, formation energy from the elements -0.828 eV per atom. Number 8: V 14.517 Å³ per atom, formation energy from the elements -1.131 eV per atom. Number 9: V 19.464 Å³ per atom, formation energy from the elements -0.592 eV per atom. Number 10: V 20.359 Å³ per atom, formation energy from the elements -1.197 eV per atom. Number 11: V 19.660 Å³ per atom, formation energy from the elements -1.259 eV per atom. Number 12: V 16.913 Å³ per atom, formation energy from the elements -1.013 eV per atom.